Entry from Materials Project: a relaxed structure of Nb4Pb3O13 (meta-GGA r2SCAN).

Lattice parameters (Å, degrees): 7.5375 7.5260 10.6572 90.00 90.00 90.00
Atoms (fractional coordinates):
Nb 0.0000 0.0000 0.0000
Nb 0.0000 0.5000 0.5000
Nb 0.2500 0.2488 0.2526
Nb 0.2500 0.7512 0.2526
Nb 0.5000 0.0000 0.0000
Nb 0.5000 0.5000 0.5000
Nb 0.7500 0.2488 0.7474
Nb 0.7500 0.7512 0.7474
Pb 0.0000 0.5000 0.0000
Pb 0.2500 0.2492 0.7366
Pb 0.2500 0.7508 0.7366
Pb 0.5000 0.5000 0.0000
Pb 0.7500 0.2492 0.2634
Pb 0.7500 0.7508 0.2634
O 0.0559 0.1923 0.1248
O 0.0559 0.8077 0.1248
O 0.0603 0.3167 0.3721
O 0.0603 0.6833 0.3721
O 0.2500 0.0000 0.3007
O 0.2500 0.0000 0.9374
O 0.2500 0.5000 0.1777
O 0.2500 0.5000 0.5663
O 0.2500 0.5000 0.8449
O 0.4397 0.3167 0.3721
O 0.4397 0.6833 0.3721
O 0.4441 0.1923 0.1248
O 0.4441 0.8077 0.1248
O 0.5559 0.1923 0.8752
O 0.5559 0.8077 0.8752
O 0.5603 0.3167 0.6279
O 0.5603 0.6833 0.6279
O 0.7500 0.0000 0.0626
O 0.7500 0.0000 0.6993
O 0.7500 0.5000 0.1551
O 0.7500 0.5000 0.4337
O 0.7500 0.5000 0.8223
O 0.9397 0.3167 0.6279
O 0.9397 0.6833 0.6279
O 0.9441 0.1923 0.8752
O 0.9441 0.8077 0.8752

## Properties
For the energy of formation from the pure elements, the calculation gives -2.387 eV per atom. As for the crystal system: orthorhombic. Its polymorph energy (0 for the lowest one) is 0.0 meV/atom. Its total magnetization is 0.0 μB per formula unit.